## CrPt3 (PBE-GGA)

Data for a relaxed structure of CrPt3.

Geometry as POSCAR:
```
CrPt3
1.0
3.922 0.000 0.000
0.000 3.922 0.000
0.000 0.000 3.922
Cr Pt
1 3
Direct
0.000 0.000 0.000
0.000 0.500 0.500
0.500 0.000 0.500
0.500 0.500 0.000
```

## Properties
Its energy relative to the elements is -250 meV per atom. As for the calculated volume: 15.1 A^3/atom.

## CrSbPt (PBE-GGA)

Data for a relaxed structure of CrSbPt.

Geometry as POSCAR:
```
CrSbPt
1.0
6.422 0.000 0.000
0.000 6.422 0.000
0.000 0.000 6.422
Cr Sb Pt
4 4 4
Direct
0.009 0.009 0.009
0.491 0.991 0.509
0.509 0.491 0.991
0.991 0.509 0.491
0.237 0.737 0.763
0.263 0.263 0.263
0.737 0.763 0.237
0.763 0.237 0.737
0.133 0.867 0.367
0.367 0.133 0.867
0.633 0.633 0.633
0.867 0.367 0.133
```

## Properties
Its total moment is 0.98 μB per atom. Its energy relative to the elements is 242 meV per atom. As for the calculated volume: 22.1 A^3/atom.

## PuCr2Si2 (PBE-GGA)

Data for a relaxed structure of PuCr2Si2.

Geometry as POSCAR:
```
PuCr2Si2
1.0
3.689 0.000 0.000
0.000 3.689 0.000
0.000 0.000 11.016
Pu Cr Si
2 4 4
Direct
0.000 0.000 0.000
0.500 0.500 0.500
0.000 0.500 0.250
0.000 0.500 0.750
0.500 0.000 0.250
0.500 0.000 0.750
0.000 0.000 0.391
0.000 0.000 0.609
0.500 0.500 0.109
0.500 0.500 0.891
```

## Properties
Its total moment is 0.12 μB per atom. Its energy relative to the elements is 77 meV per atom. As for the calculated volume: 15.0 A^3/atom.

## RbCr2S4 (PBE-GGA)

Data for a relaxed structure of RbCr2S4.

Geometry as POSCAR:
```
RbCr2S4
1.0
0.000 5.461 5.461
5.461 0.000 5.461
5.461 5.461 0.000
Rb Cr S
2 4 8
Direct
0.125 0.125 0.125
0.875 0.875 0.875
0.000 0.500 0.500
0.500 0.000 0.500
0.500 0.500 0.000
0.500 0.500 0.500
0.278 0.278 0.278
0.278 0.278 0.665
0.278 0.665 0.278
0.335 0.722 0.722
0.665 0.278 0.278
0.722 0.335 0.722
0.722 0.722 0.335
0.722 0.722 0.722
```

## Properties
Its total moment is 0.71 μB per atom. Its energy relative to the elements is -815 meV per atom. As for the calculated volume: 23.3 A^3/atom.

## RbCr2S4 (PBE-GGA)

Data for a relaxed structure of RbCr2S4.

Geometry as POSCAR:
```
RbCr2S4
1.0
13.180 0.000 0.000
0.000 3.454 0.000
0.000 0.000 14.847
Rb Cr S
4 8 16
Direct
0.112 0.250 0.115
0.388 0.750 0.615
0.612 0.250 0.385
0.888 0.750 0.885
0.091 0.750 0.445
0.221 0.750 0.858
0.279 0.250 0.358
0.409 0.250 0.945
0.591 0.750 0.055
0.721 0.750 0.642
0.779 0.250 0.142
0.909 0.250 0.555
0.022 0.750 0.592
0.106 0.250 0.868
0.171 0.750 0.299
0.209 0.250 0.494
0.291 0.750 0.994
0.329 0.250 0.799
0.394 0.750 0.368
0.478 0.250 0.092
0.522 0.750 0.908
0.606 0.250 0.632
0.671 0.750 0.201
0.709 0.250 0.006
0.791 0.750 0.506
0.829 0.250 0.701
0.894 0.750 0.132
0.978 0.250 0.408
```

## Properties
Its total moment is 0.71 μB per atom. Its energy relative to the elements is -1041 meV per atom. As for the calculated volume: 24.1 A^3/atom.

## RbCr2S4 (PBE-GGA)

Data for a relaxed structure of RbCr2S4.

Geometry as POSCAR:
```
RbCr2S4
1.0
6.631 0.000 0.000
0.058 8.731 0.000
0.563 2.116 12.231
Rb Cr S
4 8 16
Direct
0.150 0.206 0.171
0.251 0.371 0.511
0.749 0.629 0.489
0.850 0.794 0.829
0.164 0.718 0.204
0.290 0.877 0.502
0.350 0.554 0.805
0.367 0.051 0.800
0.633 0.949 0.200
0.650 0.446 0.195
0.710 0.123 0.498
0.836 0.282 0.796
0.048 0.078 0.430
0.180 0.289 0.835
0.187 0.715 0.376
0.322 0.652 0.631
0.325 0.788 0.863
0.337 0.530 0.150
0.346 0.908 0.116
0.432 0.038 0.617
0.568 0.962 0.383
0.654 0.092 0.884
0.663 0.470 0.850
0.675 0.212 0.137
0.678 0.348 0.369
0.813 0.285 0.624
0.820 0.711 0.165
0.952 0.922 0.570
```

## Properties
Its total moment is 0.79 μB per atom. Its energy relative to the elements is -823 meV per atom. As for the calculated volume: 25.3 A^3/atom.

## RbCr2S4 (PBE-GGA)

Data for a relaxed structure of RbCr2S4.

Geometry as POSCAR:
```
RbCr2S4
1.0
16.321 0.000 0.000
0.000 3.428 0.000
-1.312 0.000 5.464
Rb Cr S
2 4 8
Direct
0.000 0.000 0.000
0.500 0.500 0.000
0.248 0.500 0.705
0.252 0.000 0.295
0.748 0.000 0.705
0.752 0.500 0.295
0.156 0.000 0.524
0.176 0.500 0.036
0.324 0.000 0.964
0.344 0.500 0.476
0.656 0.500 0.524
0.676 0.000 0.036
0.824 0.500 0.964
0.844 0.000 0.476
```

## Properties
Its total moment is 0.43 μB per atom. Its energy relative to the elements is -1049 meV per atom. As for the calculated volume: 21.8 A^3/atom.

## RbCr3S5 (PBE-GGA)

Data for a relaxed structure of RbCr3S5.

Geometry as POSCAR:
```
RbCr3S5
1.0
9.766 -1.770 0.000
9.766 1.770 0.000
-6.616 0.000 10.285
Rb Cr S
2 6 10
Direct
0.246 0.246 0.335
0.754 0.754 0.665
0.000 0.000 0.000
0.000 0.000 0.500
0.335 0.335 0.111
0.484 0.484 0.730
0.516 0.516 0.270
0.665 0.665 0.889
0.075 0.075 0.892
0.090 0.090 0.417
0.244 0.244 0.884
0.421 0.421 0.850
0.426 0.426 0.348
0.574 0.574 0.652
0.579 0.579 0.150
0.756 0.756 0.116
0.910 0.910 0.583
0.925 0.925 0.108
```

## Properties
Its energy relative to the elements is -1111 meV per atom. As for the calculated volume: 19.8 A^3/atom.

## RbCr2S4 (PBE-GGA)

Data for a relaxed structure of RbCr2S4.

Geometry as POSCAR:
```
RbCr2S4
1.0
6.947 0.000 0.000
0.000 15.973 0.000
0.000 0.000 6.004
Rb Cr S
4 8 16
Direct
0.250 0.250 0.038
0.250 0.750 0.341
0.750 0.250 0.659
0.750 0.750 0.962
0.000 0.000 0.500
0.000 0.500 0.500
0.250 0.502 0.984
0.250 0.998 0.984
0.500 0.000 0.500
0.500 0.500 0.500
0.750 0.002 0.016
0.750 0.498 0.016
0.000 0.083 0.836
0.000 0.417 0.836
0.000 0.583 0.164
0.000 0.917 0.164
0.250 0.079 0.332
0.250 0.421 0.332
0.250 0.584 0.668
0.250 0.916 0.668
0.500 0.083 0.836
0.500 0.417 0.836
0.500 0.583 0.164
0.500 0.917 0.164
0.750 0.084 0.332
0.750 0.416 0.332
0.750 0.579 0.668
0.750 0.921 0.668
```

## Properties
Its energy relative to the elements is -1122 meV per atom. As for the calculated volume: 23.8 A^3/atom.

## RbCr2S4 (PBE-GGA)

Data for a relaxed structure of RbCr2S4.

Geometry as POSCAR:
```
RbCr2S4
1.0
11.408 0.000 0.000
0.000 8.384 0.000
0.000 0.000 12.657
Rb Cr S
8 16 32
Direct
0.046 0.157 0.000
0.102 0.625 0.676
0.398 0.625 0.176
0.454 0.157 0.500
0.546 0.843 0.000
0.602 0.375 0.676
0.898 0.375 0.176
0.954 0.843 0.500
0.109 0.714 0.014
0.142 0.157 0.672
0.151 0.882 0.267
0.156 0.371 0.360
0.344 0.371 0.860
0.349 0.882 0.767
0.358 0.157 0.172
0.391 0.714 0.514
0.609 0.286 0.014
0.642 0.843 0.672
0.651 0.118 0.267
0.656 0.629 0.360
0.844 0.629 0.860
0.849 0.118 0.767
0.858 0.843 0.172
0.891 0.286 0.514
0.015 0.978 0.758
0.022 0.522 0.913
0.035 0.690 0.186
0.080 0.186 0.496
0.208 0.357 0.182
0.221 0.684 0.386
0.236 0.918 0.110
0.248 0.112 0.834
0.252 0.112 0.334
0.264 0.918 0.610
0.279 0.684 0.886
0.292 0.357 0.682
0.420 0.186 0.996
0.465 0.690 0.686
0.478 0.522 0.413
0.485 0.978 0.258
0.515 0.022 0.758
0.522 0.478 0.913
0.535 0.310 0.186
0.580 0.814 0.496
0.708 0.643 0.182
0.721 0.316 0.386
0.736 0.082 0.110
0.748 0.888 0.834
0.752 0.888 0.334
0.764 0.082 0.610
0.779 0.316 0.886
0.792 0.643 0.682
0.920 0.814 0.996
0.965 0.310 0.686
0.978 0.478 0.413
0.985 0.022 0.258
```

## Properties
Its total moment is 0.71 μB per atom. Its energy relative to the elements is -830 meV per atom. As for the calculated volume: 21.6 A^3/atom.

## RbCr2S4 (PBE-GGA)

Data for a relaxed structure of RbCr2S4.

Geometry as POSCAR:
```
RbCr2S4
1.0
11.740 0.000 0.000
0.000 3.588 0.000
0.000 0.000 13.089
Rb Cr S
4 8 16
Direct
0.246 0.250 0.164
0.254 0.750 0.664
0.746 0.250 0.336
0.754 0.750 0.836
0.069 0.250 0.395
0.073 0.250 0.896
0.427 0.750 0.396
0.431 0.750 0.895
0.569 0.250 0.105
0.573 0.250 0.604
0.927 0.750 0.104
0.931 0.750 0.605
0.018 0.750 0.785
0.060 0.250 0.575
0.104 0.750 0.013
0.204 0.750 0.373
0.296 0.250 0.873
0.396 0.250 0.513
0.440 0.750 0.075
0.482 0.250 0.285
0.518 0.750 0.715
0.560 0.250 0.925
0.604 0.750 0.487
0.704 0.750 0.127
0.796 0.250 0.627
0.896 0.250 0.987
0.940 0.750 0.425
0.982 0.250 0.215
```

## Properties
Its total moment is 0.71 μB per atom. Its energy relative to the elements is -1005 meV per atom. As for the calculated volume: 19.7 A^3/atom.

## RbCr2S4 (PBE-GGA)

Data for a relaxed structure of RbCr2S4.

Geometry as POSCAR:
```
RbCr2S4
1.0
-4.146 4.146 4.445
4.146 -4.146 4.445
4.146 4.146 -4.445
Rb Cr S
2 4 8
Direct
0.375 0.625 0.750
0.625 0.375 0.250
0.000 0.000 0.000
0.000 0.000 0.500
0.000 0.500 0.000
0.500 0.000 0.500
0.159 0.740 0.419
0.178 0.260 0.919
0.260 0.178 0.419
0.260 0.841 0.081
0.740 0.159 0.919
0.740 0.822 0.581
0.822 0.740 0.081
0.841 0.260 0.581
```

## Properties
Its total moment is 0.71 μB per atom. Its energy relative to the elements is -836 meV per atom. As for the calculated volume: 21.8 A^3/atom.

> Number 6 is which compound?

RbCr2S4

> Which of these has the highest energy relative to the elements?

CrSbPt

> The highest energy relative to the elements belongs to which entry?

CrSbPt